No. 1
The following is a DFT calculation (PBE-GGA) of a relaxed LiCuSbO4 crystal.

a b c (Å): 9.9086 5.8170 6.2631
angles (deg): 62.40 90.00 90.00
Fractional coordinates of all 28 atoms:
Li (0.8010, 0.6399, 0.7245)
Li (0.3010, 0.3601, 0.2755)
Li (0.2308, 0.9888, 0.0050)
Li (0.7308, 0.0112, 0.9950)
Cu (0.5009, 0.8387, 0.8207)
Cu (0.4996, 0.3419, 0.8202)
Cu (0.0009, 0.1613, 0.1793)
Cu (0.9996, 0.6581, 0.1798)
Sb (0.2315, 0.6887, 0.6187)
Sb (0.7315, 0.3113, 0.3813)
Sb (0.5042, 0.8324, 0.3362)
Sb (0.0042, 0.1676, 0.6638)
O (0.1222, 0.8421, 0.3113)
O (0.6222, 0.1579, 0.6887)
O (0.4220, 0.9969, 0.0069)
O (0.9220, 0.0031, 0.9931)
O (0.1311, 0.8602, 0.7878)
O (0.1330, 0.3466, 0.7896)
O (0.6311, 0.1398, 0.2122)
O (0.6330, 0.6534, 0.2104)
O (0.3597, 0.5467, 0.9076)
O (0.8597, 0.4533, 0.0924)
O (0.5966, 0.6714, 0.6575)
O (0.0966, 0.3286, 0.3425)
O (0.3637, 0.5464, 0.4537)
O (0.3627, 0.9969, 0.4555)
O (0.8637, 0.4536, 0.5463)
O (0.8627, 0.0031, 0.5445)

Summary:
**Space-group type**: No. 4
**ΔE to the lowest computed polymorph**: 0.00 eV/f.u.

=====

No. 2
The following is a DFT calculation (PBE-GGA) of a relaxed LiCuSbO4 crystal.

a b c (Å): 6.1573 6.1573 8.4540
angles (deg): 90.00 90.00 90.00
Fractional coordinates of all 28 atoms:
Li (0.5000, 0.7113, 0.0000)
Li (0.5000, 0.2887, 0.5000)
Li (0.7113, 0.5000, 0.2500)
Li (0.2887, 0.5000, 0.7500)
Cu (0.7494, 0.7494, 0.6250)
Cu (0.7494, 0.2506, 0.8750)
Cu (0.2506, 0.7494, 0.3750)
Cu (0.2506, 0.2506, 0.1250)
Sb (0.7268, 0.0000, 0.2500)
Sb (0.0000, 0.7268, 0.0000)
Sb (0.0000, 0.2732, 0.5000)
Sb (0.2732, 0.0000, 0.7500)
O (0.5169, 0.7612, 0.2553)
O (0.5169, 0.2388, 0.2447)
O (0.7612, 0.5169, 0.9947)
O (0.7612, 0.4831, 0.5053)
O (0.7646, 0.9714, 0.0104)
O (0.7646, 0.0286, 0.4896)
O (0.9714, 0.7646, 0.2396)
O (0.9714, 0.2354, 0.2604)
O (0.0286, 0.7646, 0.7604)
O (0.0286, 0.2354, 0.7396)
O (0.2354, 0.0286, 0.5104)
O (0.2354, 0.9714, 0.9896)
O (0.2388, 0.5169, 0.0053)
O (0.2388, 0.4831, 0.4947)
O (0.4831, 0.7612, 0.7447)
O (0.4831, 0.2388, 0.7553)

Summary:
**Space-group type**: No. 95
**ΔE to the lowest computed polymorph**: 0.54 eV/f.u.

=====

No. 3
The following is a DFT calculation (PBE-GGA) of a relaxed LiCuSbO4 crystal.

a b c (Å): 6.2314 6.2314 6.2314
angles (deg): 123.92 121.35 85.51
Fractional coordinates of all 14 atoms:
Li (0.8998, 0.1498, 0.7500)
Li (0.1002, 0.8502, 0.2500)
Cu (0.5000, 0.0000, 0.0000)
Cu (0.5000, 0.5000, 0.5000)
Sb (0.0000, 0.5000, 0.5000)
Sb (0.5000, 0.5000, 0.0000)
O (0.7521, 0.2816, 0.4705)
O (0.7642, 0.2847, 0.0205)
O (0.7642, 0.7437, 0.4795)
O (0.3111, 0.2816, 0.0295)
O (0.6889, 0.7184, 0.9705)
O (0.2358, 0.7153, 0.9795)
O (0.2358, 0.2563, 0.5205)
O (0.2479, 0.7184, 0.5295)

Summary:
**Space-group type**: No. 74
**ΔE to the lowest computed polymorph**: 0.05 eV/f.u.

=====

No. 4
The following is a DFT calculation (PBE-GGA) of a relaxed Li3Cu2SbO6 crystal.

a b c (Å): 5.1754 5.1754 9.9025
angles (deg): 88.22 91.78 65.18
Fractional coordinates of all 24 atoms:
Li (0.3201, 0.8450, 0.9986)
Li (0.1550, 0.6799, 0.4986)
Li (0.9105, 0.9105, 0.7500)
Li (0.0895, 0.0895, 0.2500)
Li (0.8450, 0.3201, 0.5014)
Li (0.6799, 0.1550, 0.0014)
Cu (0.0000, 0.5000, 0.0000)
Cu (0.5877, 0.5877, 0.7500)
Cu (0.4123, 0.4123, 0.2500)
Cu (0.5000, 0.0000, 0.5000)
Sb (0.2489, 0.2489, 0.7500)
Sb (0.7511, 0.7511, 0.2500)
O (0.5718, 0.9201, 0.8514)
O (0.3014, 0.5345, 0.8701)
O (0.0799, 0.4282, 0.3514)
O (0.9875, 0.2081, 0.8858)
O (0.4655, 0.6986, 0.3701)
O (0.7919, 0.0125, 0.3858)
O (0.2081, 0.9875, 0.6142)
O (0.5345, 0.3014, 0.6299)
O (0.0125, 0.7919, 0.1142)
O (0.9201, 0.5718, 0.6486)
O (0.6986, 0.4655, 0.1299)
O (0.4282, 0.0799, 0.1486)

Summary:
**Space-group type**: No. 15

=====

No. 5
The following is a DFT calculation (PBE-GGA) of a relaxed Li4CuSbO6 crystal.

a b c (Å): 5.1384 5.1384 9.9377
angles (deg): 87.52 87.52 115.24
Fractional coordinates of all 24 atoms:
Li (0.6583, 0.8049, 0.5027)
Li (0.3417, 0.1951, 0.4973)
Li (0.1951, 0.3417, 0.9973)
Li (0.8049, 0.6583, 0.0027)
Li (0.5815, 0.4185, 0.7500)
Li (0.4185, 0.5815, 0.2500)
Li (0.5000, 0.0000, 0.0000)
Li (0.0000, 0.5000, 0.5000)
Cu (0.9134, 0.0866, 0.7500)
Cu (0.0866, 0.9134, 0.2500)
Sb (0.2543, 0.7457, 0.7500)
Sb (0.7457, 0.2543, 0.2500)
O (0.5038, 0.7000, 0.8836)
O (0.4962, 0.3000, 0.1164)
O (0.3000, 0.4962, 0.6164)
O (0.7000, 0.5038, 0.3836)
O (0.6044, 0.0867, 0.6499)
O (0.3956, 0.9133, 0.3501)
O (0.9133, 0.3956, 0.8501)
O (0.0867, 0.6044, 0.1499)
O (0.8247, 0.9723, 0.1372)
O (0.1753, 0.0277, 0.8628)
O (0.0277, 0.1753, 0.3628)
O (0.9723, 0.8247, 0.6372)

Summary:
**Space-group type**: No. 15

=====

No. 6
The following is a DFT calculation (PBE-GGA) of a relaxed Li2Cu2Si2O7 crystal.

a b c (Å): 13.1528 5.4935 9.6927
angles (deg): 56.40 90.00 90.00
Fractional coordinates of all 52 atoms:
Li (0.3497, 0.7239, 0.1206)
Li (0.7435, 0.0295, 0.1798)
Li (0.2435, 0.9705, 0.3202)
Li (0.8497, 0.2761, 0.3794)
Li (0.1503, 0.7239, 0.6206)
Li (0.7565, 0.0295, 0.6798)
Li (0.2565, 0.9705, 0.8202)
Li (0.6503, 0.2761, 0.8794)
Cu (0.0821, 0.5529, 0.1004)
Cu (0.4888, 0.1701, 0.1845)
Cu (0.9888, 0.8299, 0.3155)
Cu (0.5821, 0.4471, 0.3996)
Cu (0.4179, 0.5529, 0.6004)
Cu (0.0112, 0.1701, 0.6845)
Cu (0.5112, 0.8299, 0.8155)
Cu (0.9179, 0.4471, 0.8996)
Si (0.8829, 0.7896, 0.0391)
Si (0.6690, 0.6336, 0.0539)
Si (0.1690, 0.3664, 0.4461)
Si (0.3829, 0.2104, 0.4609)
Si (0.6171, 0.7896, 0.5391)
Si (0.8310, 0.6336, 0.5539)
Si (0.3310, 0.3664, 0.9461)
Si (0.1171, 0.2104, 0.9609)
O (0.7930, 0.5707, 0.0458)
O (0.1693, 0.8970, 0.0265)
O (0.0269, 0.2169, 0.0806)
O (0.6200, 0.3296, 0.0892)
O (0.3605, 0.0748, 0.1309)
O (0.6540, 0.7086, 0.1927)
O (0.9313, 0.6146, 0.2255)
O (0.4313, 0.3854, 0.2745)
O (0.1540, 0.2914, 0.3073)
O (0.8605, 0.9252, 0.3691)
O (0.1200, 0.6704, 0.4108)
O (0.5269, 0.7831, 0.4194)
O (0.6693, 0.1030, 0.4735)
O (0.2930, 0.4293, 0.4542)
O (0.7070, 0.5707, 0.5458)
O (0.3307, 0.8970, 0.5265)
O (0.4731, 0.2169, 0.5806)
O (0.8800, 0.3296, 0.5892)
O (0.1395, 0.0748, 0.6309)
O (0.8460, 0.7086, 0.6927)
O (0.5687, 0.6146, 0.7255)
O (0.0687, 0.3854, 0.7745)
O (0.3460, 0.2914, 0.8073)
O (0.6395, 0.9252, 0.8691)
O (0.3800, 0.6704, 0.9108)
O (0.9731, 0.7831, 0.9194)
O (0.8307, 0.1030, 0.9735)
O (0.2070, 0.4293, 0.9542)

Summary:
**Space-group type**: No. 14

=====

No. 7
The following is a DFT calculation (PBE-GGA) of a relaxed Li4CuSi2O7 crystal.

a b c (Å): 7.1364 7.1364 8.1540
angles (deg): 86.67 86.67 44.88
Fractional coordinates of all 28 atoms:
Li (0.4135, 0.7352, 0.1232)
Li (0.7352, 0.4135, 0.6232)
Li (0.5364, 0.8798, 0.4064)
Li (0.8798, 0.5364, 0.9064)
Li (0.4287, 0.1280, 0.0538)
Li (0.1280, 0.4287, 0.5538)
Li (0.8149, 0.1817, 0.9806)
Li (0.1817, 0.8149, 0.4806)
Cu (0.0172, 0.6830, 0.2035)
Cu (0.6830, 0.0172, 0.7035)
Si (0.9670, 0.3094, 0.2599)
Si (0.3094, 0.9670, 0.7599)
Si (0.6000, 0.2498, 0.3304)
Si (0.2498, 0.6000, 0.8304)
O (0.8433, 0.2190, 0.3934)
O (0.2190, 0.8433, 0.8934)
O (0.7921, 0.4282, 0.0948)
O (0.4282, 0.7921, 0.5948)
O (0.2810, 0.0490, 0.2268)
O (0.0490, 0.2810, 0.7268)
O (0.9142, 0.5408, 0.3578)
O (0.5408, 0.9142, 0.8578)
O (0.5323, 0.1435, 0.4813)
O (0.1435, 0.5323, 0.9813)
O (0.7058, 0.0712, 0.1659)
O (0.0712, 0.7058, 0.6659)
O (0.3366, 0.5674, 0.2925)
O (0.5674, 0.3366, 0.7925)

Summary:
**Space-group type**: No. 9
**ΔE to the lowest computed polymorph**: 0.16 eV/f.u.

=====

No. 8
The following is a DFT calculation (PBE-GGA) of a relaxed Li2Cu2Si4O11 crystal.

a b c (Å): 7.1013 7.6772 8.5606
angles (deg): 96.96 102.85 109.85
Fractional coordinates of all 38 atoms:
Li (0.3881, 0.1975, 0.7998)
Li (0.8515, 0.2579, 0.8391)
Li (0.1485, 0.7421, 0.1609)
Li (0.6119, 0.8025, 0.2002)
Cu (0.1227, 0.3858, 0.6096)
Cu (0.6325, 0.3888, 0.6001)
Cu (0.3675, 0.6112, 0.3999)
Cu (0.8773, 0.6142, 0.3904)
Si (0.7580, 0.6095, 0.9682)
Si (0.0438, 0.7843, 0.7669)
Si (0.4786, 0.7832, 0.7786)
Si (0.2230, 0.0205, 0.4042)
Si (0.7770, 0.9795, 0.5958)
Si (0.5214, 0.2168, 0.2214)
Si (0.9562, 0.2157, 0.2331)
Si (0.2420, 0.3905, 0.0318)
O (0.1790, 0.3973, 0.8433)
O (0.6035, 0.7340, 0.9445)
O (0.6711, 0.4064, 0.8388)
O (0.9806, 0.7482, 0.9374)
O (0.2998, 0.8553, 0.8217)
O (0.6367, 0.9692, 0.7321)
O (0.3487, 0.1899, 0.5648)
O (0.3962, 0.5986, 0.6305)
O (0.8402, 0.1964, 0.5749)
O (0.9935, 0.9615, 0.7058)
O (0.9167, 0.5934, 0.6245)
O (0.0833, 0.4066, 0.3755)
O (0.0065, 0.0385, 0.2942)
O (0.1598, 0.8036, 0.4251)
O (0.6038, 0.4014, 0.3695)
O (0.6513, 0.8101, 0.4352)
O (0.3633, 0.0308, 0.2679)
O (0.7002, 0.1447, 0.1783)
O (0.0194, 0.2518, 0.0626)
O (0.3289, 0.5936, 0.1612)
O (0.3965, 0.2660, 0.0555)
O (0.8210, 0.6027, 0.1567)

Summary:
**Space-group type**: No. 2

=====

No. 9
The following is a DFT calculation (PBE-GGA) of a relaxed LiCuSi2O5 crystal.

a b c (Å): 4.9363 5.7366 7.9717
angles (deg): 73.02 90.00 90.00
Fractional coordinates of all 18 atoms:
Li (0.6825, 0.0575, 0.1762)
Li (0.1825, 0.9425, 0.8238)
Cu (0.7143, 0.9857, 0.6276)
Cu (0.2143, 0.0143, 0.3724)
Si (0.1822, 0.3525, 0.9849)
Si (0.6688, 0.4504, 0.4045)
Si (0.1688, 0.5496, 0.5955)
Si (0.6822, 0.6475, 0.0151)
O (0.2828, 0.1051, 0.1251)
O (0.7398, 0.1826, 0.3857)
O (0.2255, 0.3276, 0.7845)
O (0.8536, 0.4017, 0.0064)
O (0.3442, 0.4689, 0.4471)
O (0.8442, 0.5311, 0.5529)
O (0.3536, 0.5983, 0.9936)
O (0.7255, 0.6724, 0.2155)
O (0.2398, 0.8174, 0.6143)
O (0.7828, 0.8949, 0.8749)

Summary:
**Space-group type**: No. 4

=====

No. 10
The following is a DFT calculation (PBE-GGA) of a relaxed Li2CuSi2O6 crystal.

a b c (Å): 10.4166 10.3958 5.1025
angles (deg): 76.04 75.58 28.38
Fractional coordinates of all 22 atoms:
Li (0.9167, 0.4200, 0.1377)
Li (0.8300, 0.3333, 0.7244)
Li (0.1123, 0.7244, 0.3333)
Li (0.5256, 0.1377, 0.4200)
Cu (0.7004, 0.2996, 0.2996)
Cu (0.9504, 0.5496, 0.5496)
Si (0.3976, 0.9397, 0.4998)
Si (0.3103, 0.8524, 0.0871)
Si (0.7502, 0.0871, 0.8524)
Si (0.1629, 0.4998, 0.9397)
O (0.6062, 0.8828, 0.4019)
O (0.0768, 0.2577, 0.4923)
O (0.4852, 0.7753, 0.7983)
O (0.4747, 0.7648, 0.3088)
O (0.9923, 0.1732, 0.0768)
O (0.3672, 0.6438, 0.1410)
O (0.8481, 0.1410, 0.6438)
O (0.7577, 0.0768, 0.1732)
O (0.4517, 0.3088, 0.7648)
O (0.9412, 0.7983, 0.7753)
O (0.1732, 0.4923, 0.2577)
O (0.1090, 0.4019, 0.8828)

Summary:
**Space-group type**: No. 43

=====

No. 11
The following is a DFT calculation (PBE-GGA) of a relaxed Li4CuSi2O7 crystal.

a b c (Å): 5.3059 5.3059 6.7884
angles (deg): 80.85 80.85 50.29
Fractional coordinates of all 14 atoms:
Li (0.8397, 0.8673, 0.9349)
Li (0.2802, 0.2963, 0.6447)
Li (0.7037, 0.7198, 0.3553)
Li (0.1327, 0.1603, 0.0651)
Cu (0.9981, 0.0019, 0.5000)
Si (0.4344, 0.4145, 0.2102)
Si (0.5855, 0.5656, 0.7898)
O (0.6684, 0.2323, 0.7250)
O (0.1377, 0.6030, 0.3873)
O (0.5005, 0.0902, 0.1552)
O (0.9098, 0.4995, 0.8448)
O (0.3970, 0.8623, 0.6127)
O (0.7677, 0.3316, 0.2750)
O (0.3175, 0.6825, 0.0000)

Summary:
**Space-group type**: No. 5
**ΔE to the lowest computed polymorph**: 0.00 eV/f.u.

=====

No. 12
The following is a DFT calculation (PBE-GGA) of a relaxed Li2Cu2Si8O19 crystal.

a b c (Å): 7.2126 7.2126 12.4279
angles (deg): 72.60 72.60 39.99
Fractional coordinates of all 31 atoms:
Li (0.2425, 0.5500, 0.6315)
Li (0.4500, 0.7575, 0.3685)
Cu (0.3318, 0.2714, 0.4027)
Cu (0.7286, 0.6682, 0.5973)
Si (0.5272, 0.2309, 0.9295)
Si (0.1265, 0.8550, 0.1683)
Si (0.9306, 0.9288, 0.4218)
Si (0.6603, 0.7813, 0.8290)
Si (0.2187, 0.3397, 0.1710)
Si (0.0712, 0.0694, 0.5782)
Si (0.1450, 0.8735, 0.8317)
Si (0.7691, 0.4728, 0.0705)
O (0.8226, 0.1447, 0.8917)
O (0.2536, 0.5806, 0.9024)
O (0.1223, 0.8794, 0.2964)
O (0.5983, 0.2495, 0.4300)
O (0.5412, 0.0733, 0.8522)
O (0.9746, 0.6601, 0.4573)
O (0.8625, 0.6755, 0.7079)
O (0.1204, 0.6339, 0.1722)
O (0.8408, 0.5272, 0.9350)
O (0.4728, 0.1592, 0.0650)
O (0.3661, 0.8796, 0.8278)
O (0.3245, 0.1375, 0.2921)
O (0.3399, 0.0254, 0.5427)
O (0.9267, 0.4588, 0.1478)
O (0.7505, 0.4017, 0.5700)
O (0.1206, 0.8777, 0.7036)
O (0.1258, 0.8742, 0.5000)
O (0.4194, 0.7464, 0.0976)
O (0.8553, 0.1774, 0.1083)

Summary:
**Space-group type**: No. 5

=====

E_form, record by record: -1.75 -1.67 -1.74 -1.75 -1.94 -2.24 -2.56 -2.59 -2.61 -2.56 -2.57 -2.79 eV per atom
E, record by record: -0.414 -0.408 -0.413 -0.396 -0.396 -0.463 -0.463 -0.502 -0.503 -0.485 -0.464 -0.528 Ry per atom
Magnetization, record by record: 0.1429 0.1429 0.1432 0.0000 0.0001 0.1542 0.0710 0.1053 0.0000 0.0906 0.0714 0.0617 μB per atom